## DySi2Ir2 (PBE-GGA)

Data for a relaxed DySi2Ir2 crystal.

Values from the calculation:
**E**: -7.6912 eV/atom
**Formation enthalpy at 0 K**: -1.0643 eV/atom

Lattice parameters (Å, degrees): 4.1281 4.1281 9.8715 90.00 90.00 90.00
Sites, in units of the cell vectors:
Dy (0.2500, 0.2500, 0.2450)
Dy (0.7500, 0.7500, 0.7550)
Si (0.2500, 0.2500, 0.6311)
Si (0.2500, 0.7500, 0.0000)
Si (0.7500, 0.2500, 0.0000)
Si (0.7500, 0.7500, 0.3689)
Ir (0.2500, 0.2500, 0.8713)
Ir (0.2500, 0.7500, 0.5000)
Ir (0.7500, 0.2500, 0.5000)
Ir (0.7500, 0.7500, 0.1287)